(1)
## Ti16CuS32 (PBE)

Data for a relaxed Ti16CuS32 crystal.

Calculated values
corrected total energy (MP2020 scheme)	-338.94	eV/cell
density	3.2	g cm⁻³

abc: 23.1575 23.1575 23.1575
angles: 17.35 17.35 17.35
Sites, in units of the cell vectors:
1 S 0.4383 0.4383 0.4383
2 S 0.8041 0.3162 0.3162
3 Ti 0.1232 0.1232 0.6269
4 Ti 0.3753 0.8743 0.3753
5 S 0.0552 0.5657 0.5657
6 S 0.5657 0.5657 0.0552
7 Ti 0.8743 0.3753 0.3753
8 S 0.4339 0.4339 0.9462
9 Ti 0.6245 0.1265 0.6245
10 S 0.3113 0.3113 0.3113
11 Ti 0.9984 0.9984 0.9984
12 Ti 0.1232 0.6269 0.1232
13 Ti 0.1265 0.6245 0.6245
14 Cu 0.3438 0.3438 0.3438
15 Ti 0.7510 0.7510 0.7510
16 S 0.6884 0.6884 0.6884
17 Ti 0.3825 0.8725 0.8725
18 Ti 0.8725 0.8725 0.3825
19 S 0.3162 0.3162 0.8041
20 S 0.7020 0.1808 0.1808
21 Ti 0.6245 0.6245 0.1265
22 S 0.9332 0.4463 0.9332
23 S 0.0667 0.0667 0.5537
24 S 0.5537 0.0667 0.0667
25 S 0.3162 0.8041 0.3162
26 S 0.1884 0.1884 0.1884
27 S 0.8166 0.3038 0.8166
28 S 0.5657 0.0552 0.5657
29 S 0.8116 0.8116 0.8116
30 S 0.4463 0.9332 0.9332
31 S 0.0667 0.5537 0.0667
32 Ti 0.3753 0.3753 0.8743
33 S 0.1961 0.6836 0.6836
34 Ti 0.8725 0.3825 0.8725
35 S 0.9381 0.9381 0.9381
36 Ti 0.6269 0.1232 0.1232
37 S 0.5617 0.5617 0.5617
38 S 0.0615 0.0615 0.0615
39 S 0.6836 0.1961 0.6836
40 S 0.1808 0.7020 0.1808
41 S 0.9332 0.9332 0.4463
42 S 0.8166 0.8166 0.3038
43 S 0.6836 0.6836 0.1961
44 S 0.3038 0.8166 0.8166
45 S 0.9462 0.4339 0.4339
46 S 0.4339 0.9462 0.4339
47 Ti 0.5001 0.5001 0.5001
48 S 0.1808 0.1808 0.7020
49 Ti 0.2495 0.2495 0.2495

(2)
## Ti8Cu3S16 (PBE)

Data for a relaxed Ti8Cu3S16 crystal.

Calculated values
corrected total energy (MP2020 scheme)	-180.76	eV/cell
density	3.8	g cm⁻³

abc: 8.9895 8.9895 5.8988
angles: 89.99 89.99 98.63
Sites, in units of the cell vectors:
1 S 0.7480 0.9985 0.8349
2 S 0.8755 0.8755 0.3363
3 S 0.0015 0.2520 0.1651
4 S 0.6267 0.6267 0.6687
5 S 0.7525 0.5012 0.1674
6 S 0.3768 0.8762 0.6680
7 S 0.6232 0.1238 0.3320
8 Ti 0.0000 0.5000 0.0000
9 Ti 0.6286 0.8797 0.4999
10 S 0.8762 0.3768 0.6680
11 Ti 0.3714 0.1203 0.5001
12 Ti 0.8797 0.6286 0.4999
13 S 0.2475 0.4988 0.8326
14 S 0.1245 0.1245 0.6637
15 Ti 0.1203 0.3714 0.5001
16 Ti 0.2525 0.2525 0.9934
17 S 0.4988 0.2475 0.8326
18 Cu 0.0000 0.0000 0.0000
19 S 0.9985 0.7480 0.8349
20 Cu 0.3709 0.6291 0.5000
21 S 0.2520 0.0015 0.1651
22 S 0.5012 0.7525 0.1674
23 S 0.3733 0.3733 0.3313
24 Ti 0.7475 0.7475 0.0066
25 S 0.1238 0.6232 0.3320
26 Cu 0.6291 0.3709 0.5000
27 Ti 0.5000 0.0000 0.0000

(3)
## TlCu2S2 (PBE)

Data for a relaxed TlCu2S2 crystal.

Calculated values
corrected total energy (MP2020 scheme)	-21.11	eV/cell
density	6.7	g cm⁻³

abc: 7.3367 7.3367 7.3367
angles: 150.14 150.14 42.73
Sites, in units of the cell vectors:
1 S 0.3525 0.3525 0.0000
2 Cu 0.7500 0.2500 0.5000
3 S 0.6475 0.6475 0.0000
4 Cu 0.2500 0.7500 0.5000
5 Tl 0.0000 0.0000 0.0000

(4)
## TlCu3S2 (PBE)

Data for a relaxed TlCu3S2 crystal.

Calculated values
corrected total energy (MP2020 scheme)	-50.41	eV/cell
density	7.0	g cm⁻³

abc: 7.5145 7.5145 8.4279
angles: 69.26 69.26 29.64
Sites, in units of the cell vectors:
1 S 0.8135 0.8135 0.6716
2 Cu 0.6871 0.6871 0.5816
3 Tl 0.8599 0.8599 0.0518
4 S 0.4768 0.4768 0.2311
5 S 0.5232 0.5232 0.7689
6 Tl 0.1401 0.1401 0.9482
7 Cu 0.0589 0.0589 0.5970
8 Cu 0.5896 0.5896 0.3613
9 Cu 0.9411 0.9411 0.4030
10 Cu 0.3129 0.3129 0.4184
11 Cu 0.4104 0.4104 0.6387
12 S 0.1865 0.1865 0.3284

(5)
## TlCuS2 (PBE)

Data for a relaxed TlCuS2 crystal.

Calculated values
corrected total energy (MP2020 scheme)	-33.26	eV/cell
density	6.0	g cm⁻³

abc: 6.9688 6.9688 6.9688
angles: 131.84 131.84 70.48
Sites, in units of the cell vectors:
1 S 0.6744 0.6250 0.5494
2 Cu 0.0000 0.0000 0.0000
3 S 0.3750 0.9244 0.0494
4 Cu 0.7500 0.2500 0.5000
5 Tl 0.2500 0.7500 0.5000
6 Tl 0.5000 0.5000 0.0000
7 S 0.8750 0.3256 0.9506
8 S 0.0756 0.1250 0.4506

(6)
## TlCu7S4 (PBE)

Data for a relaxed TlCu7S4 crystal.

Calculated values
excess energy over the best structure of this formula in the dataset	7.3	meV/atom
corrected total energy (MP2020 scheme)	-51.46	eV/cell
density	6.5	g cm⁻³

abc: 3.8390 7.4279 7.4471
angles: 86.29 104.82 104.78
Sites, in units of the cell vectors:
1 Tl 0.2478 0.5066 0.5001
2 Cu 0.2358 0.8802 0.1551
3 Cu 0.6175 0.8390 0.8846
4 Cu 0.2003 0.1082 0.8524
5 S 0.6608 0.6978 0.1644
6 Cu 0.9059 0.1573 0.1124
7 S 0.0223 0.8244 0.6953
8 S 0.7967 0.3062 0.8268
9 Cu 0.8494 0.9371 0.4074
10 Cu 0.5089 0.0672 0.6023
11 S 0.5077 0.1680 0.3038
12 Cu 0.5731 0.4318 0.0235

(7)
## TlCu7S4 (PBE)

Data for a relaxed TlCu7S4 crystal.

Calculated values
excess energy over the best structure of this formula in the dataset	0.0	meV/atom
corrected total energy (MP2020 scheme)	-206.19	eV/cell
density	6.5	g cm⁻³

abc: 10.2175 10.2175 7.5782
angles: 90.00 90.00 90.00
Sites, in units of the cell vectors:
1 Cu 0.5325 0.6401 0.6129
2 S 0.7597 0.9381 0.3689
3 Tl 0.5000 0.0000 0.6218
4 Cu 0.1974 0.2265 0.6553
5 S 0.0601 0.7607 0.1332
6 S 0.5619 0.2597 0.3689
7 S 0.2597 0.4381 0.6311
8 Tl 0.0000 0.5000 0.8833
9 Cu 0.3599 0.5325 0.3871
10 Cu 0.4675 0.3599 0.6129
11 Cu 0.8675 0.0213 0.1194
12 Cu 0.6974 0.7265 0.3447
13 Cu 0.2500 0.7500 0.0000
14 Cu 0.7500 0.2500 0.0000
15 Cu 0.2265 0.8026 0.3447
16 S 0.2393 0.0601 0.8668
17 Cu 0.6401 0.4675 0.3871
18 S 0.2607 0.4399 0.1332
19 S 0.4381 0.7403 0.3689
20 Cu 0.8026 0.7735 0.6553
21 Cu 0.5213 0.6325 0.1194
22 Cu 0.0325 0.1401 0.3871
23 S 0.9399 0.2393 0.1332
24 Cu 0.7500 0.7500 0.0000
25 S 0.9381 0.2403 0.6311
26 Cu 0.3026 0.2735 0.3447
27 Cu 0.1325 0.9787 0.1194
28 S 0.7403 0.5619 0.6311
29 Cu 0.6325 0.4787 0.8806
30 Cu 0.2735 0.6974 0.6553
31 Cu 0.0213 0.1325 0.8806
32 Cu 0.1401 0.9675 0.6129
33 S 0.7607 0.9399 0.8668
34 Cu 0.9675 0.8599 0.3871
35 S 0.7393 0.5601 0.1332
36 Cu 0.9787 0.8675 0.8806
37 S 0.0619 0.7597 0.6311
38 Cu 0.8599 0.0325 0.6129
39 Tl 0.5000 0.0000 0.1167
40 Tl 0.0000 0.5000 0.3782
41 Cu 0.3675 0.5213 0.8806
42 S 0.5601 0.2607 0.8668
43 Cu 0.2500 0.2500 0.0000
44 Cu 0.7735 0.1974 0.3447
45 Cu 0.7265 0.3026 0.6553
46 S 0.4399 0.7393 0.8668
47 Cu 0.4787 0.3675 0.1194
48 S 0.2403 0.0619 0.3689

(8)
## Tl2Cu2S3 (PBE)

Data for a relaxed Tl2Cu2S3 crystal.

Calculated values
corrected total energy (MP2020 scheme)	-113.52	eV/cell
density	6.6	g cm⁻³

abc: 4.0137 12.5407 12.7155
angles: 90.00 90.00 90.00
Sites, in units of the cell vectors:
1 S 0.2500 0.2941 0.1392
2 Cu 0.7500 0.3426 0.2063
3 S 0.2500 0.0521 0.3723
4 Tl 0.7500 0.0747 0.1700
5 Cu 0.7500 0.1574 0.7063
6 Tl 0.7500 0.7511 0.5636
7 Tl 0.7500 0.4253 0.6700
8 S 0.2500 0.4479 0.8723
9 Cu 0.2500 0.6574 0.7937
10 Tl 0.2500 0.5747 0.3300
11 Tl 0.2500 0.2511 0.9364
12 Tl 0.2500 0.2489 0.4364
13 S 0.7500 0.1272 0.8827
14 S 0.7500 0.7059 0.8608
15 S 0.2500 0.6272 0.6173
16 S 0.2500 0.2059 0.6392
17 S 0.7500 0.9479 0.6277
18 Tl 0.7500 0.7489 0.0636
19 S 0.7500 0.3728 0.3827
20 S 0.2500 0.8728 0.1173
21 S 0.7500 0.5521 0.1277
22 Tl 0.2500 0.9253 0.8300
23 Cu 0.7500 0.5256 0.9202
24 Cu 0.7500 0.9744 0.4202
25 Cu 0.2500 0.4744 0.0798
26 Cu 0.2500 0.0256 0.5798
27 S 0.7500 0.7941 0.3608
28 Cu 0.2500 0.8426 0.2937